Na4MgSi2GeSO12: relaxed, PBE.

Values from the calculation:
Density: 3.04 g/cm³
Formation energy from the elements: -51.82 eV per formula unit
Calculated volume: 256.3 Å³/f.u.
Corrected total energy (MP2020 scheme): -6.557 eV/atom

a = 9.139 Å, b = 8.925 Å, c = 21.972 Å
α = 92.37°, β = 90.00°, γ = 120.79°
Element x y z (fractional)
Mg 0.667 0.336 0.685
Mg 0.335 0.669 0.518
Mg 0.668 0.336 0.185
Mg 0.002 0.002 0.852
Mg 0.000 0.002 0.352
Mg 0.334 0.669 0.018
O 0.488 0.168 0.245
O 0.489 0.357 0.421
O 0.535 0.691 0.254
O 0.354 0.868 0.578
O 0.156 0.698 0.478
O 0.526 0.154 0.925
O 0.961 0.821 0.091
O 0.628 0.154 0.425
O 0.158 0.198 0.689
O 0.511 0.656 0.578
O 0.786 0.818 0.195
O 0.821 0.834 0.912
O 0.781 0.953 0.690
O 0.452 0.152 0.528
O 0.347 0.501 0.079
O 0.979 0.792 0.805
O 0.680 0.168 0.745
O 0.308 0.819 0.254
O 0.822 0.031 0.811
O 0.511 0.819 0.754
O 0.178 0.152 0.088
O 0.845 0.323 0.245
O 0.489 0.365 0.145
O 0.540 0.842 0.477
O 0.824 0.531 0.022
O 0.876 0.365 0.645
O 0.478 0.323 0.745
O 0.542 0.698 0.978
O 0.312 0.459 0.472
O 0.301 0.842 0.977
O 0.847 0.535 0.745
O 0.207 0.175 0.810
O 0.641 0.485 0.921
O 0.688 0.535 0.245
O 0.491 0.864 0.356
O 0.505 0.620 0.857
O 0.021 0.201 0.911
O 0.013 0.834 0.412
O 0.373 0.864 0.856
O 0.178 0.989 0.911
O 0.295 0.488 0.758
O 0.201 0.024 0.587
O 0.974 0.152 0.588
O 0.366 0.485 0.362
O 0.156 0.691 0.754
O 0.146 0.459 0.972
O 0.823 0.024 0.087
O 0.839 0.287 0.524
O 0.448 0.287 0.024
O 0.209 0.031 0.311
O 0.119 0.485 0.862
O 0.968 0.175 0.310
O 0.635 0.508 0.644
O 0.844 0.485 0.421
O 0.699 0.152 0.028
O 0.180 0.201 0.411
O 0.172 0.953 0.190
O 0.040 0.198 0.189
O 0.645 0.125 0.139
O 0.514 0.868 0.078
O 0.480 0.125 0.639
O 0.868 0.357 0.921
O 0.115 0.620 0.357
O 0.707 0.531 0.522
O 0.145 0.656 0.078
O 0.874 0.508 0.144
O 0.154 0.501 0.579
O 0.860 0.821 0.591
O 0.033 0.818 0.695
O 0.813 0.792 0.305
O 0.193 0.488 0.258
O 0.811 0.989 0.411
Na 0.306 0.346 0.586
Na 0.972 0.680 0.920
Na 0.656 0.325 0.830
Na 0.002 0.991 0.997
Na 0.374 0.013 0.753
Na 0.323 0.658 0.163
Na 0.033 0.692 0.581
Na 0.639 0.013 0.253
Na 0.993 0.627 0.244
Na 0.327 0.293 0.911
Na 0.660 0.960 0.578
Na 0.707 0.680 0.420
Na 0.659 0.692 0.081
Na 0.335 0.658 0.663
Na 0.041 0.346 0.086
Na 0.326 0.026 0.414
Na 0.633 0.627 0.744
Na 0.700 0.026 0.914
Na 0.300 0.960 0.078
Na 0.967 0.293 0.411
Na 0.989 0.991 0.497
Na 0.669 0.325 0.330
Na 0.367 0.359 0.247
Na 0.992 0.359 0.747
Ge 0.042 0.013 0.149
Ge 0.638 0.347 0.982
Ge 0.971 0.013 0.649
Ge 0.375 0.680 0.815
Ge 0.305 0.680 0.315
Ge 0.709 0.347 0.482
Si 0.669 0.624 0.587
Si 0.964 0.337 0.587
Si 0.003 0.291 0.253
Si 0.288 0.291 0.753
Si 0.039 0.670 0.420
Si 0.631 0.670 0.920
Si 0.336 0.958 0.920
Si 0.373 0.337 0.087
Si 0.955 0.624 0.087
Si 0.298 0.004 0.253
Si 0.622 0.958 0.420
Si 0.706 0.004 0.753
S 0.336 0.377 0.416
S 0.374 0.044 0.583
S 0.041 0.377 0.916
S 0.003 0.710 0.750
S 0.669 0.044 0.083
S 0.708 0.710 0.250